PNF2, optimized geometry, DFT meta-GGA r2SCAN; M_tot = 0.00 μB/f.u.; SG = P2_1/c, No. 14; relative energy among the computed polymorphs = 5 meV per atom; calculated density = 2447 kg/m³; DFT formation energy = -1.921 eV per atom
1.0
4.859 0.000 0.000
0.000 13.632 0.000
-2.274 0.000 6.799
P N F
8 8 16
Cartesian
-0.062 1.606 1.329 P
-1.199 5.210 4.729 P
0.078 7.838 4.743 P
1.215 12.611 1.344 P
1.371 1.022 5.455 P
2.508 5.795 2.056 P
3.784 8.422 2.070 P
2.647 12.026 5.470 P
-0.241 8.440 3.364 N
-1.378 12.009 6.764 N
0.765 0.385 1.788 N
-0.372 6.431 5.187 N
2.957 7.201 1.611 N
1.820 13.247 5.011 N
3.963 1.623 0.035 N
2.826 5.193 3.435 N
-0.144 8.816 0.911 F
-1.280 11.633 4.310 F
0.869 2.835 1.335 F
-0.268 3.981 4.734 F
-0.169 1.083 5.282 F
0.968 5.733 1.883 F
-0.328 8.847 5.831 F
0.809 11.602 2.432 F
1.777 2.031 4.367 F
2.914 4.785 0.967 F
1.617 7.899 4.916 F
2.754 12.550 1.516 F
2.854 9.651 2.065 F
1.717 10.797 5.464 F
3.866 2.000 2.489 F
2.729 4.817 5.888 F